First-principles (PBE-GGA) data for a relaxed structure of KPH2O3, as listed in the Materials Project database.

Values from the calculation:
Calculated formation energy = -1801 meV per atom
Crystal system = monoclinic
E = -309.6 eV/cell
Magnetization = 0.000 μB per atom

The structure in CIF format:
```
data_KPH2O3
_chemical_formula_sum 'K8 P8 H16 O24'
_symmetry_space_group_name_H-M 'P 1 21/c 1'
_symmetry_Int_Tables_number 14
_symmetry_space_group_name_Hall '-P 2ybc'
_cell_length_a 7.9816
_cell_length_b 8.7206
_cell_length_c 12.7750
_cell_angle_alpha 90.00
_cell_angle_beta 98.96
_cell_angle_gamma 90.00
loop_
_atom_site_label
_atom_site_fract_x
_atom_site_fract_y
_atom_site_fract_z
K1 0.0310 0.0493 0.2595
K2 0.4691 0.2241 0.9837
P1 0.0472 0.6926 0.5119
P2 0.4516 0.0005 0.2434
H1 0.1456 0.0933 0.5045
H2 0.1684 0.0111 0.4949
H3 0.3371 0.6245 0.7264
H4 0.3608 0.1598 0.6890
O1 0.0598 0.7069 0.6291
O2 0.1097 0.1255 0.0525
O3 0.1826 0.7412 0.9560
O4 0.3657 0.1347 0.2892
O5 0.4060 0.0657 0.6611
O6 0.4693 0.5208 0.3554
```


First-principles (PBE-GGA) data for a relaxed structure of Mn3CrAs4, as listed in the Materials Project database.

Values from the calculation:
Calculated formation energy = -249 meV per atom
Crystal system = monoclinic
E = -57.8 eV/cell
Magnetization = 0.886 μB per atom

The structure in CIF format:
```
data_Mn3CrAs4
_chemical_formula_sum 'Mn3 Cr1 As4'
_symmetry_space_group_name_H-M 'P 1 m 1'
_symmetry_Int_Tables_number 6
_symmetry_space_group_name_Hall 'P -2y'
_cell_length_a 5.5486
_cell_length_b 3.4259
_cell_length_c 6.0630
_cell_angle_alpha 90.00
_cell_angle_beta 90.25
_cell_angle_gamma 90.00
loop_
_atom_site_label
_atom_site_fract_x
_atom_site_fract_y
_atom_site_fract_z
Mn1 0.0000 0.0000 0.0000
Mn2 0.0071 0.5000 0.6131
Mn3 0.5010 0.0000 0.1124
Cr1 0.5071 0.5000 0.5008
As1 0.2034 0.5000 0.2248
As2 0.3037 0.0000 0.7256
As3 0.7026 0.5000 0.8872
As4 0.8067 0.0000 0.3848
```


First-principles (PBE-GGA) data for a relaxed structure of La3Nd11Si9O39, as listed in the Materials Project database.

Values from the calculation:
Calculated formation energy = -3692 meV per atom
Crystal system = hexagonal
E = -1022.3 eV/cell
Magnetization = 0.001 μB per atom

The structure in CIF format:
```
data_La3Nd11Si9O39
_chemical_formula_sum 'La6 Nd22 Si18 O78'
_symmetry_space_group_name_H-M 'P 63'
_symmetry_Int_Tables_number 173
_symmetry_space_group_name_Hall 'P 6c'
_cell_length_a 9.6624
_cell_length_b 9.6624
_cell_length_c 21.4019
_cell_angle_alpha 90.00
_cell_angle_beta 90.00
_cell_angle_gamma 120.00
loop_
_atom_site_label
_atom_site_fract_x
_atom_site_fract_y
_atom_site_fract_z
La1 0.3333 0.6667 0.0000
La2 0.3333 0.6667 0.1672
La3 0.3333 0.6667 0.3400
Nd1 0.0095 0.2397 0.0805
Nd2 0.0110 0.2428 0.7478
Nd3 0.0151 0.2456 0.4168
Nd4 0.3333 0.6667 0.6546
Nd5 0.3333 0.6667 0.8303
Si1 0.0280 0.4004 0.2481
Si2 0.0291 0.3991 0.5819
Si3 0.0312 0.3967 0.9131
O1 0.0000 0.0000 0.0951
O2 0.0000 0.0000 0.2485
O3 0.0000 0.0000 0.4066
O4 0.0660 0.3049 0.5260
O5 0.0859 0.3265 0.9726
O6 0.0856 0.3383 0.3091
O7 0.0929 0.3438 0.1872
O8 0.0993 0.3568 0.6457
O9 0.1116 0.3667 0.8497
O10 0.1116 0.5919 0.5812
O11 0.1227 0.5935 0.9197
O12 0.1258 0.5976 0.2492
O13 0.1608 0.6956 0.4086
O14 0.1651 0.6729 0.7464
O15 0.1691 0.6860 0.0831
```


First-principles (PBE-GGA) data for a relaxed structure of Ba2Ge4Pd5, as listed in the Materials Project database.

Values from the calculation:
Calculated formation energy = -677 meV per atom
Crystal system = orthorhombic
E = -222.7 eV/cell
Magnetization = 0.000 μB per atom

The structure in CIF format:
```
data_Ba2Ge4Pd5
_chemical_formula_sum 'Ba8 Ge16 Pd20'
_symmetry_space_group_name_H-M 'C m c e'
_symmetry_Int_Tables_number 64
_symmetry_space_group_name_Hall '-C 2ac 2'
_cell_length_a 11.1524
_cell_length_b 14.3744
_cell_length_c 5.9352
_cell_angle_alpha 90.00
_cell_angle_beta 90.00
_cell_angle_gamma 90.00
loop_
_atom_site_label
_atom_site_fract_x
_atom_site_fract_y
_atom_site_fract_z
Ba1 0.0000 0.1423 0.0351
Ge1 0.1683 0.1242 0.5580
Pd1 0.0000 0.0000 0.5000
Pd2 0.2500 0.0234 0.2500
Pd3 0.2500 0.2271 0.2500
```